Zn2RuN3: optimized geometry, PBE-GGA. Values from VASP.

```
&SYSTEM
  ibrav = 0, nat = 12, ntyp = 3
/
ATOMIC_SPECIES
Zn 65.41 Zn.upf
Ru 101.07 Ru.upf
N 14.01 N.upf
CELL_PARAMETERS angstrom
4.9408 -2.8251 0.0000
4.9408 2.8251 0.0000
0.0000 0.0000 5.3466
ATOMIC_POSITIONS crystal
Zn 0.0076 0.3279 0.0000
Zn 0.3279 0.0076 0.5000
Zn 0.6721 0.9924 0.0000
Zn 0.9924 0.6721 0.5000
Ru 0.3327 0.6673 0.9884
Ru 0.6673 0.3327 0.4884
N 0.0210 0.6600 0.8802
N 0.3400 0.9790 0.8802
N 0.3515 0.6485 0.3514
N 0.6485 0.3515 0.8514
N 0.6600 0.0210 0.3802
N 0.9790 0.3400 0.3802
```

Computed properties:
Calculated density ... 6.09 g/cm3
Space-group type ... Cmc2_1

CeCO3F: optimized geometry, PBE-GGA. Values from VASP.

```
&SYSTEM
  ibrav = 0, nat = 36, ntyp = 4
/
ATOMIC_SPECIES
Ce 140.12 Ce.upf
C 12.01 C.upf
O 16.00 O.upf
F 19.00 F.upf
CELL_PARAMETERS angstrom
7.1611 0.0000 0.0000
-3.5805 6.2017 0.0000
0.0000 0.0000 9.8613
ATOMIC_POSITIONS crystal
Ce 0.0000 0.3404 0.0000
Ce 0.0000 0.3404 0.5000
Ce 0.3404 0.0000 0.0000
Ce 0.3404 0.0000 0.5000
Ce 0.6596 0.6596 0.0000
Ce 0.6596 0.6596 0.5000
C 0.0332 0.7084 0.2500
C 0.2916 0.3248 0.2500
C 0.3248 0.2916 0.7500
C 0.6752 0.9668 0.2500
C 0.7084 0.0332 0.7500
C 0.9668 0.6752 0.7500
O 0.0549 0.6728 0.6355
O 0.0549 0.6728 0.8644
O 0.1085 0.3198 0.2500
O 0.2114 0.8915 0.2500
O 0.3198 0.1085 0.7500
O 0.3272 0.3821 0.6355
O 0.3272 0.3821 0.8644
O 0.3821 0.3272 0.1356
O 0.3821 0.3272 0.3644
O 0.6179 0.9451 0.6355
O 0.6179 0.9451 0.8644
O 0.6728 0.0549 0.1356
O 0.6728 0.0549 0.3644
O 0.6802 0.7886 0.2500
O 0.7886 0.6802 0.7500
O 0.8915 0.2114 0.7500
O 0.9451 0.6179 0.1356
O 0.9451 0.6179 0.3644
F 0.0000 0.0000 0.0000
F 0.0000 0.0000 0.5000
F 0.3333 0.6667 0.0491
F 0.3333 0.6667 0.4509
F 0.6667 0.3333 0.5491
F 0.6667 0.3333 0.9509
```

Computed properties:
Calculated density ... 4.98 g/cm3
Space-group type ... P-62c
Magnetization ... 6.0 μB per cell

PrAl2: optimized geometry, PBE-GGA. Values from VASP.

```
&SYSTEM
  ibrav = 0, nat = 6, ntyp = 2
/
ATOMIC_SPECIES
Pr 140.91 Pr.upf
Al 26.98 Al.upf
CELL_PARAMETERS angstrom
0.0000 4.0451 4.0451
4.0451 0.0000 4.0451
4.0451 4.0451 0.0000
ATOMIC_POSITIONS crystal
Pr 0.1250 0.1250 0.1250
Pr 0.8750 0.8750 0.8750
Al 0.0000 0.5000 0.5000
Al 0.5000 0.0000 0.5000
Al 0.5000 0.5000 0.0000
Al 0.5000 0.5000 0.5000
```

Computed properties:
Calculated density ... 4.89 g/cm3
Space-group type ... Fd-3m

Sr2LiLa2RuO8: optimized geometry, PBE-GGA. Values from VASP.

```
&SYSTEM
  ibrav = 0, nat = 56, ntyp = 5
/
ATOMIC_SPECIES
Sr 87.62 Sr.upf
Li 6.94 Li.upf
La 138.91 La.upf
Ru 101.07 Ru.upf
O 16.00 O.upf
CELL_PARAMETERS angstrom
5.9982 0.0000 0.0000
0.6376 5.9878 0.0000
0.4325 0.4168 24.8438
ATOMIC_POSITIONS crystal
Sr 0.0000 0.0000 0.0000
Sr 0.0004 0.4930 0.7529
Sr 0.0139 0.9733 0.5033
Sr 0.0788 0.5824 0.1169
Sr 0.0940 0.0516 0.8675
Sr 0.4972 0.9882 0.2531
Sr 0.5844 0.0771 0.6171
Sr 0.5989 0.5594 0.3669
Li 0.0461 0.5415 0.4309
Li 0.0666 0.0236 0.1804
Li 0.5488 0.0307 0.9316
Li 0.5543 0.5138 0.6873
La 0.0158 0.4577 0.2505
La 0.0863 0.0988 0.3688
La 0.1184 0.5633 0.6196
La 0.4753 0.4843 0.5013
La 0.4951 0.4497 0.0047
La 0.5066 0.9552 0.7512
La 0.5935 0.5976 0.8679
La 0.6312 0.0638 0.1193
Ru 0.0430 0.0299 0.6857
Ru 0.0495 0.5234 0.9341
Ru 0.5412 0.5263 0.1863
Ru 0.5536 0.0199 0.4344
O 0.0169 0.4872 0.8550
O 0.0206 0.9897 0.6059
O 0.0777 0.0484 0.7655
O 0.0913 0.5519 0.0140
O 0.1075 0.5856 0.5305
O 0.1096 0.0904 0.2800
O 0.2761 0.2437 0.6807
O 0.2833 0.2641 0.9379
O 0.2838 0.7307 0.9270
O 0.2915 0.7592 0.1884
O 0.2942 0.7716 0.6862
O 0.2995 0.2770 0.4340
O 0.3242 0.8032 0.4410
O 0.3286 0.2941 0.1901
O 0.4869 0.4638 0.5906
O 0.4897 0.9695 0.8406
O 0.5159 0.9944 0.3549
O 0.5179 0.4932 0.1026
O 0.5764 0.0616 0.5142
O 0.5784 0.5466 0.2649
O 0.5889 0.0989 0.0296
O 0.6060 0.5845 0.7787
O 0.7636 0.7444 0.1802
O 0.7686 0.2480 0.4277
O 0.7967 0.7799 0.4345
O 0.8012 0.2814 0.1852
O 0.8040 0.3247 0.9421
O 0.8069 0.2772 0.6845
O 0.8165 0.7880 0.9297
O 0.8229 0.8069 0.6918
O 0.9858 0.9692 0.0951
O 0.9918 0.4708 0.3402
```

Computed properties:
Calculated density ... 5.13 g/cm3
Space-group type ... P1
Magnetization ... 12.0 μB per cell

LiAg4P4O12: optimized geometry, PBE-GGA. Values from VASP.

```
&SYSTEM
  ibrav = 0, nat = 21, ntyp = 4
/
ATOMIC_SPECIES
Li 6.94 Li.upf
Ag 107.87 Ag.upf
P 30.97 P.upf
O 16.00 O.upf
CELL_PARAMETERS angstrom
4.2817 0.0000 0.0000
-0.0532 5.7708 0.0000
-0.6316 -2.5552 13.4277
ATOMIC_POSITIONS crystal
Li 0.0000 0.0000 0.0000
Ag 0.1127 0.5025 0.1883
Ag 0.1974 0.9698 0.6845
Ag 0.6135 0.2100 0.2195
Ag 0.8846 0.5049 0.6001
P 0.1481 0.0201 0.3602
P 0.3632 0.5853 0.8096
P 0.6778 0.9123 0.4918
P 0.8735 0.5305 0.9531
O 0.0104 0.3127 0.9806
O 0.1261 0.6741 0.8983
O 0.2029 0.4081 0.7275
O 0.2841 0.8819 0.2671
O 0.4145 0.0704 0.4500
O 0.5104 0.8063 0.7868
O 0.5399 0.6870 0.5130
O 0.6145 0.4393 0.8641
O 0.7600 0.7280 0.0304
O 0.8421 0.0810 0.5776
O 0.9068 0.8432 0.4004
O 0.9979 0.2520 0.3558
```

Computed properties:
Calculated density ... 3.78 g/cm3
Polymorph energy (0 for the lowest one) ... 0 meV/atom
Space-group type ... P1
Magnetization ... 0.0 μB per cell

EuGdTi2O7: optimized geometry, PBE-GGA. Values from VASP.

```
&SYSTEM
  ibrav = 0, nat = 22, ntyp = 4
/
ATOMIC_SPECIES
Eu 151.96 Eu.upf
Gd 157.25 Gd.upf
Ti 47.87 Ti.upf
O 16.00 O.upf
CELL_PARAMETERS angstrom
-3.6203 3.6527 5.1531
3.6203 -3.6527 5.1531
3.6203 3.6527 -5.1531
ATOMIC_POSITIONS crystal
Eu 0.5000 0.0000 0.0000
Eu 0.5000 0.5000 0.5000
Gd 0.0000 0.0000 0.0000
Gd 0.5000 0.0000 0.5000
Ti 0.0000 0.0000 0.5000
Ti 0.0000 0.5000 0.0000
Ti 0.0000 0.5000 0.5000
Ti 0.5000 0.5000 0.0000
O 0.0744 0.4222 0.2481
O 0.0744 0.8263 0.6522
O 0.0766 0.8266 0.2500
O 0.3254 0.5754 0.7500
O 0.3259 0.1737 0.7481
O 0.3259 0.5778 0.1522
O 0.3730 0.1230 0.2500
O 0.6270 0.8770 0.7500
O 0.6741 0.4222 0.8478
O 0.6741 0.8263 0.2519
O 0.6746 0.4246 0.2500
O 0.9234 0.1734 0.7500
O 0.9256 0.1737 0.3478
O 0.9256 0.5778 0.7519
```

Computed properties:
Calculated density ... 6.30 g/cm3
Space-group type ... Imma
Magnetization ... 2.0 μB per cell

Ba2Nd2Ti2Cu2O11: optimized geometry, PBE-GGA. Values from VASP.

```
&SYSTEM
  ibrav = 0, nat = 19, ntyp = 5
/
ATOMIC_SPECIES
Ba 137.33 Ba.upf
Nd 144.24 Nd.upf
Ti 47.87 Ti.upf
Cu 63.55 Cu.upf
O 16.00 O.upf
CELL_PARAMETERS angstrom
3.9379 0.0000 0.0000
0.0000 3.9379 0.0000
0.0000 0.0000 16.0364
ATOMIC_POSITIONS crystal
Ba 0.0000 0.0000 0.2337
Ba 0.0000 0.0000 0.7663
Nd 0.0000 0.0000 0.0000
Nd 0.0000 0.0000 0.5000
Ti 0.5000 0.5000 0.3744
Ti 0.5000 0.5000 0.6256
Cu 0.5000 0.5000 0.1065
Cu 0.5000 0.5000 0.8935
O 0.0000 0.5000 0.0957
O 0.0000 0.5000 0.3875
O 0.0000 0.5000 0.6125
O 0.0000 0.5000 0.9043
O 0.5000 0.0000 0.0957
O 0.5000 0.0000 0.3875
O 0.5000 0.0000 0.6125
O 0.5000 0.0000 0.9043
O 0.5000 0.5000 0.2582
O 0.5000 0.5000 0.5000
O 0.5000 0.5000 0.7418
```

Computed properties:
Calculated density ... 6.42 g/cm3
Space-group type ... P4/mmm
Magnetization ... 0.0 μB per cell

GaBr2: optimized geometry, PBE-GGA. Values from VASP.

```
&SYSTEM
  ibrav = 0, nat = 36, ntyp = 2
/
ATOMIC_SPECIES
Ga 69.72 Ga.upf
Br 79.90 Br.upf
CELL_PARAMETERS angstrom
10.9538 6.3242 2.9355
-10.9538 6.3242 2.9355
0.0000 -12.6483 2.9355
ATOMIC_POSITIONS crystal
Ga 0.0151 0.6277 0.7990
Ga 0.0461 0.8259 0.6280
Ga 0.1280 0.3259 0.5461
Ga 0.1277 0.5151 0.2990
Ga 0.2990 0.1277 0.5151
Ga 0.3259 0.5461 0.1280
Ga 0.5151 0.2990 0.1277
Ga 0.5461 0.1280 0.3259
Ga 0.6280 0.0461 0.8259
Ga 0.6277 0.7990 0.0151
Ga 0.7990 0.0151 0.6277
Ga 0.8259 0.6280 0.0461
Br 0.0113 0.2632 0.7243
Br 0.0509 0.8513 0.8860
Br 0.0591 0.9957 0.4570
Br 0.2243 0.7632 0.5113
Br 0.2316 0.9301 0.2863
Br 0.2632 0.7243 0.0113
Br 0.2863 0.2316 0.9301
Br 0.3513 0.5509 0.3860
Br 0.3860 0.3513 0.5509
Br 0.4301 0.7316 0.7863
Br 0.4570 0.0591 0.9957
Br 0.4957 0.5591 0.9570
Br 0.5113 0.2243 0.7632
Br 0.5509 0.3860 0.3513
Br 0.5591 0.9570 0.4957
Br 0.7243 0.0113 0.2632
Br 0.7316 0.7863 0.4301
Br 0.7632 0.5113 0.2243
Br 0.7863 0.4301 0.7316
Br 0.8513 0.8860 0.0509
Br 0.8860 0.0509 0.8513
Br 0.9301 0.2863 0.2316
Br 0.9570 0.4957 0.5591
Br 0.9957 0.4570 0.0591
```

Computed properties:
Calculated density ... 3.75 g/cm3
Polymorph energy (0 for the lowest one) ... 11 meV/atom
Space-group type ... R3c

LaZn2Ag: optimized geometry, PBE-GGA. Values from VASP.

```
&SYSTEM
  ibrav = 0, nat = 4, ntyp = 3
/
ATOMIC_SPECIES
La 138.91 La.upf
Zn 65.41 Zn.upf
Ag 107.87 Ag.upf
CELL_PARAMETERS angstrom
0.0000 3.4889 3.4889
3.4889 0.0000 3.4889
3.4889 3.4889 0.0000
ATOMIC_POSITIONS crystal
La 0.0000 0.0000 0.0000
Zn 0.2500 0.2500 0.2500
Zn 0.7500 0.7500 0.7500
Ag 0.5000 0.5000 0.5000
```

Computed properties:
Calculated density ... 7.38 g/cm3
Space-group type ... Fm-3m
Magnetization ... 0.0 μB per cell

Li2ErTl: optimized geometry, PBE-GGA. Values from VASP.

```
&SYSTEM
  ibrav = 0, nat = 4, ntyp = 3
/
ATOMIC_SPECIES
Li 6.94 Li.upf
Er 167.26 Er.upf
Tl 204.38 Tl.upf
CELL_PARAMETERS angstrom
0.0000 3.4123 3.4123
3.4123 0.0000 3.4123
3.4123 3.4123 0.0000
ATOMIC_POSITIONS crystal
Li 0.2500 0.2500 0.2500
Li 0.7500 0.7500 0.7500
Er 0.0000 0.0000 0.0000
Tl 0.5000 0.5000 0.5000
```

Computed properties:
Calculated density ... 8.06 g/cm3
Space-group type ... Fm-3m
Magnetization ... 0.0 μB per cell

TcAsH2O2F10: optimized geometry, PBE-GGA. Values from VASP.

```
&SYSTEM
  ibrav = 0, nat = 64, ntyp = 5
/
ATOMIC_SPECIES
Tc 98.00 Tc.upf
As 74.92 As.upf
H 1.01 H.upf
O 16.00 O.upf
F 19.00 F.upf
CELL_PARAMETERS angstrom
5.4338 0.0000 0.0000
0.0000 8.5072 0.0000
-0.4240 0.0000 20.8319
ATOMIC_POSITIONS crystal
Tc 0.0865 0.0863 0.3539
Tc 0.0865 0.4137 0.8539
Tc 0.9135 0.5863 0.1461
Tc 0.9135 0.9137 0.6461
As 0.1893 0.1666 0.1358
As 0.1893 0.3334 0.6358
As 0.8107 0.6666 0.3642
As 0.8107 0.8334 0.8642
H 0.2053 0.7331 0.0411
H 0.2053 0.7669 0.5411
H 0.4687 0.6885 0.4825
H 0.4687 0.8115 0.9825
H 0.5313 0.1885 0.0175
H 0.5313 0.3115 0.5175
H 0.7947 0.2331 0.4589
H 0.7947 0.2669 0.9589
O 0.1750 0.5149 0.7891
O 0.1750 0.9851 0.2891
O 0.1920 0.2312 0.8408
O 0.1920 0.2688 0.3408
O 0.8080 0.7312 0.6592
O 0.8080 0.7688 0.1592
O 0.8250 0.0149 0.7109
O 0.8250 0.4851 0.2109
F 0.0169 0.0897 0.0713
F 0.0169 0.4103 0.5713
F 0.0585 0.6626 0.0508
F 0.0585 0.8374 0.5508
F 0.0638 0.6564 0.3137
F 0.0638 0.8436 0.8137
F 0.0803 0.1347 0.6071
F 0.0803 0.3653 0.1071
F 0.2433 0.6162 0.1669
F 0.2433 0.8838 0.6669
F 0.3061 0.5170 0.6574
F 0.3061 0.9830 0.1574
F 0.3197 0.0178 0.4136
F 0.3197 0.4822 0.9136
F 0.3599 0.2346 0.6954
F 0.3599 0.2654 0.1954
F 0.4059 0.6799 0.5267
F 0.4059 0.8201 0.0267
F 0.4454 0.1984 0.0825
F 0.4454 0.3016 0.5825
F 0.5546 0.6984 0.4175
F 0.5546 0.8016 0.9175
F 0.5941 0.1799 0.9733
F 0.5941 0.3201 0.4733
F 0.6401 0.7346 0.8046
F 0.6401 0.7654 0.3046
F 0.6803 0.5178 0.0864
F 0.6803 0.9822 0.5864
F 0.6939 0.0170 0.8426
F 0.6939 0.4830 0.3426
F 0.7567 0.1162 0.3331
F 0.7567 0.3838 0.8331
F 0.9197 0.6347 0.8929
F 0.9197 0.8653 0.3929
F 0.9362 0.1564 0.1863
F 0.9362 0.3436 0.6863
F 0.9415 0.1626 0.4492
F 0.9415 0.3374 0.9492
F 0.9831 0.5897 0.4287
F 0.9831 0.9103 0.9287
```

Computed properties:
Calculated density ... 2.74 g/cm3
Space-group type ... P2_1/c
Magnetization ... 0.0 μB per cell

no.,VASP energy (eV/atom),formation energy (meV/atom)
1,-5.87,78.5
2,-7.94,-3039.8
3,-4.58,-490.6
4,-7.02,-2839.8
5,-6.04,-1939.2
6,-9.93,-3569.3
7,-7.46,-3022.2
8,-2.87,-1123.0
9,-2.85,-281.5
10,-2.90,-211.2
11,-4.97,-2169.4